(1)
First-principles (PBE with a Hubbard U) data for HoCoC6N6O4 after structural relaxation, as listed in Materials Project.

a = 7.3713 Å, b = 7.4664 Å, c = 12.9518 Å
α = 90.00°, β = 90.00°, γ = 119.58°
With the nearest neighbours (Å) after each atom.
Element x y z (fractional)
Ho 0.3349 0.6697 0.2500  6 N 2.33-2.41
Ho 0.6651 0.3303 0.7500  6 N 2.33-2.41
Co 0.0000 0.0000 0.0000  6 C 1.86-1.88
Co 0.0000 0.0000 0.5000  6 C 1.86-1.88
C 0.1256 0.2513 0.0720  1 N 1.17
C 0.8744 0.7487 0.9280  1 N 1.17
C 0.8744 0.7487 0.5720  1 N 1.17
C 0.1256 0.2513 0.4280  1 N 1.17
C 0.7694 0.8990 0.0873  1 N 1.17
C 0.2306 0.1010 0.9127  1 N 1.17
C 0.2306 0.1010 0.5873  1 N 1.17
C 0.1296 0.8990 0.4127  1 N 1.17
C 0.7694 0.8990 0.4127  1 N 1.17
C 0.8704 0.1010 0.5873  1 N 1.17
C 0.8704 0.1010 0.9127  1 N 1.17
C 0.1296 0.8990 0.0873  1 N 1.17
N 0.6219 0.8306 0.1404  1 C 1.17
N 0.3781 0.1694 0.8596  1 C 1.17
N 0.3781 0.1694 0.6404  1 C 1.17
N 0.2087 0.8306 0.3596  1 C 1.17
N 0.6219 0.8306 0.3596  1 C 1.17
N 0.7913 0.1694 0.6404  1 C 1.17
N 0.7913 0.1694 0.8596  1 C 1.17
N 0.2087 0.8306 0.1404  1 C 1.17
N 0.2017 0.4035 0.1206  1 C 1.17
N 0.7983 0.5965 0.8794  1 C 1.17
N 0.7983 0.5965 0.6206  1 C 1.17
N 0.2017 0.4035 0.3794  1 C 1.17
O 0.5669 0.4111 0.2500  2 O 1.48
O 0.4331 0.5889 0.7500  2 O 1.48
O 0.8442 0.4111 0.2500  2 O 1.48
O 0.1558 0.5889 0.7500  2 O 1.48
O 0.6800 0.3601 0.1709  2 O 1.48
O 0.3200 0.6399 0.8291  2 O 1.48
O 0.3200 0.6399 0.6709  2 O 1.48
O 0.6800 0.3601 0.3291  2 O 1.48

Space group: Cmcm, No. 63
Formation energy from the elements: 20.4 kJ/mol of atoms
Total moment: 0.00 μB/cell

=====

(2)
First-principles (PBE with a Hubbard U) data for InCo3C12O12 after structural relaxation, as listed in Materials Project.

a = 6.8729 Å, b = 16.7190 Å, c = 19.6004 Å
α = 62.16°, β = 90.00°, γ = 90.00°
With the nearest neighbours (Å) after each atom.
Element x y z (fractional)
In 0.8575 0.2295 0.7825  3 Co 2.63, 4 C 2.82-2.94
In 0.3575 0.7705 0.7175  3 Co 2.63, 4 C 2.82-2.94
In 0.6425 0.2295 0.2825  3 Co 2.63, 4 C 2.82-2.94
In 0.1425 0.7705 0.2175  3 Co 2.63, 4 C 2.82-2.94
Co 0.2801 0.9359 0.1432  4 C 1.76-1.78
Co 0.6886 0.3249 0.1323  4 C 1.76-1.78
Co 0.8114 0.3249 0.6323  4 C 1.76-1.78
Co 0.4923 0.3081 0.3591  4 C 1.76-1.78
Co 0.2199 0.9359 0.6432  4 C 1.76-1.78
Co 0.5077 0.6919 0.6409  4 C 1.76-1.78
Co 0.1886 0.6751 0.3677  4 C 1.76-1.78
Co 0.3114 0.6751 0.8677  4 C 1.76-1.78
Co 0.7199 0.0641 0.8568  4 C 1.76-1.78
Co 0.9923 0.6919 0.1409  4 C 1.76-1.78
Co 0.7801 0.0641 0.3568  4 C 1.76-1.78
Co 0.0077 0.3081 0.8591  4 C 1.76-1.78
C 0.5689 0.6783 0.8643  1 O 1.16
C 0.3005 0.7684 0.3726  1 O 1.16
C 0.5586 0.5973 0.7319  1 O 1.16
C 0.9943 0.1186 0.3079  1 O 1.16
C 0.7651 0.0673 0.9449  1 O 1.16
C 0.2930 0.5944 0.9657  1 O 1.15
C 0.8362 0.3822 0.1691  1 O 1.17
C 0.1995 0.7684 0.8726  1 O 1.16
C 0.6395 0.9510 0.8939  1 O 1.15
C 0.9311 0.6783 0.3643  1 O 1.16
C 0.6103 0.6481 0.5829  1 O 1.16
C 0.5057 0.1186 0.8079  1 O 1.16
C 0.8005 0.2316 0.1274  1 O 1.16
C 0.0586 0.4027 0.7681  1 O 1.16
C 0.9414 0.5973 0.2319  1 O 1.16
C 0.0870 0.9490 0.1961  1 O 1.16
C 0.8605 0.9510 0.3939  1 O 1.15
C 0.7629 0.2996 0.8891  1 O 1.16
C 0.7349 0.0673 0.4449  1 O 1.16
C 0.8470 0.7901 0.1017  1 O 1.16
C 0.9130 0.0510 0.8039  1 O 1.16
C 0.6638 0.3822 0.6691  1 O 1.17
C 0.2349 0.9327 0.0551  1 O 1.16
C 0.2651 0.9327 0.5551  1 O 1.16
C 0.2371 0.7004 0.1109  1 O 1.16
C 0.6995 0.2316 0.6274  1 O 1.16
C 0.1103 0.3519 0.9171  1 O 1.16
C 0.8897 0.6481 0.0829  1 O 1.16
C 0.3470 0.2099 0.3983  1 O 1.16
C 0.1638 0.6178 0.8309  1 O 1.17
C 0.4311 0.3217 0.1357  1 O 1.16
C 0.6530 0.7901 0.6017  1 O 1.16
C 0.7371 0.2996 0.3891  1 O 1.16
C 0.3362 0.6178 0.3309  1 O 1.17
C 0.7930 0.4056 0.5343  1 O 1.15
C 0.4943 0.8814 0.1921  1 O 1.16
C 0.2070 0.5944 0.4657  1 O 1.15
C 0.3605 0.0490 0.1061  1 O 1.15
C 0.0057 0.8814 0.6921  1 O 1.16
C 0.3897 0.3519 0.4171  1 O 1.16
C 0.1395 0.0490 0.6061  1 O 1.15
C 0.4130 0.9490 0.6961  1 O 1.16
C 0.2629 0.7004 0.6109  1 O 1.16
C 0.5870 0.0510 0.3039  1 O 1.16
C 0.1530 0.2099 0.8983  1 O 1.16
C 0.4414 0.4027 0.2681  1 O 1.16
C 0.7070 0.4056 0.0343  1 O 1.15
C 0.0689 0.3217 0.6357  1 O 1.16
O 0.3609 0.1509 0.7761  1 C 1.16
O 0.6804 0.6203 0.5446  1 C 1.16
O 0.7532 0.8528 0.5702  1 C 1.16
O 0.9100 0.8769 0.4165  1 C 1.15
O 0.9089 0.5322 0.2886  1 C 1.16
O 0.2890 0.9332 0.4963  1 C 1.16
O 0.2468 0.1472 0.4298  1 C 1.16
O 0.2380 0.3218 0.6329  1 C 1.16
O 0.3949 0.7044 0.0881  1 C 1.16
O 0.4660 0.0362 0.2697  1 C 1.16
O 0.8770 0.1751 0.1191  1 C 1.16
O 0.0911 0.4678 0.7114  1 C 1.16
O 0.5911 0.5322 0.7886  1 C 1.16
O 0.2532 0.1472 0.9298  1 C 1.16
O 0.6051 0.2956 0.9119  1 C 1.16
O 0.2110 0.9332 0.9963  1 C 1.16
O 0.8949 0.2956 0.4119  1 C 1.16
O 0.1230 0.8249 0.8809  1 C 1.16
O 0.7380 0.6782 0.8671  1 C 1.16
O 0.9660 0.9638 0.2303  1 C 1.16
O 0.5900 0.8769 0.9165  1 C 1.15
O 0.4089 0.4678 0.2114  1 C 1.16
O 0.9369 0.4230 0.1895  1 C 1.17
O 0.5631 0.4230 0.6895  1 C 1.17
O 0.8609 0.8491 0.7239  1 C 1.16
O 0.7817 0.4583 0.4700  1 C 1.15
O 0.7468 0.8528 0.0702  1 C 1.16
O 0.4100 0.1231 0.0835  1 C 1.15
O 0.2620 0.3218 0.1329  1 C 1.16
O 0.7110 0.0668 0.5037  1 C 1.16
O 0.1051 0.7044 0.5881  1 C 1.16
O 0.8196 0.6203 0.0446  1 C 1.16
O 0.5340 0.9638 0.7303  1 C 1.16
O 0.3770 0.8249 0.3809  1 C 1.16
O 0.2817 0.5417 0.0300  1 C 1.15
O 0.6391 0.8491 0.2239  1 C 1.16
O 0.0340 0.0362 0.7697  1 C 1.16
O 0.0900 0.1231 0.5835  1 C 1.15
O 0.7890 0.0668 0.0037  1 C 1.16
O 0.3196 0.3797 0.4554  1 C 1.16
O 0.1804 0.3797 0.9554  1 C 1.16
O 0.7183 0.4583 0.9700  1 C 1.15
O 0.1391 0.1509 0.2761  1 C 1.16
O 0.4369 0.5770 0.3105  1 C 1.17
O 0.6230 0.1751 0.6191  1 C 1.16
O 0.0631 0.5770 0.8105  1 C 1.17
O 0.2183 0.5417 0.5300  1 C 1.15
O 0.7620 0.6782 0.3671  1 C 1.16

Space group: P2_1/c, No. 14
Formation energy from the elements: -78.4 kJ/mol of atoms
Total moment: 0.04 μB/cell

=====

(3)
First-principles (PBE with a Hubbard U) data for K6Co2C12O31 after structural relaxation, as listed in Materials Project.

a = 8.3657 Å, b = 14.6165 Å, c = 15.1695 Å
α = 117.14°, β = 97.68°, γ = 94.14°
With the nearest neighbours (Å) after each atom.
Element x y z (fractional)
K 0.3712 0.0605 0.0963  9 O 2.81-3.13
K 0.6288 0.9395 0.9037  9 O 2.81-3.13
K 0.5171 0.5074 0.3570  6 O 2.68-2.93
K 0.4829 0.4926 0.6430  6 O 2.68-2.93
K 0.8104 0.3564 0.4377  6 O 2.73-2.97
K 0.1896 0.6436 0.5623  6 O 2.73-2.97
K 0.5922 0.8083 0.1341  4 O 2.72-2.91
K 0.4078 0.1917 0.8659  4 O 2.72-2.91
K 0.0741 0.7320 0.0596  6 O 2.72-3.04
K 0.9259 0.2680 0.9404  6 O 2.72-3.04
K 0.3221 0.7860 0.3848  3 O 2.63-2.79
K 0.6779 0.2140 0.6152  3 O 2.63-2.79
Co 0.8110 0.4414 0.1712  6 O 1.90-1.92
Co 0.1890 0.5586 0.8288  6 O 1.90-1.92
Co 0.1367 0.1231 0.3002  6 O 1.90-1.92
Co 0.8633 0.8769 0.6998  6 O 1.90-1.92
C 0.6231 0.5779 0.1559  2 O 1.24-1.29
C 0.3769 0.4221 0.8441  2 O 1.24-1.29
C 0.7650 0.5753 0.0973  2 O 1.24-1.30
C 0.2350 0.4247 0.9027  2 O 1.24-1.30
C 0.1031 0.5300 0.2935  2 O 1.25-1.29
C 0.8969 0.4700 0.7065  2 O 1.25-1.29
C 0.1259 0.4200 0.2133  2 O 1.23-1.30
C 0.8741 0.5800 0.7867  2 O 1.23-1.30
C 0.6762 0.2832 0.1950  2 O 1.24-1.31
C 0.3238 0.7168 0.8050  2 O 1.24-1.31
C 0.6346 0.2503 0.0811  2 O 1.24-1.30
C 0.3654 0.7497 0.9189  2 O 1.24-1.30
C 0.1904 0.3317 0.4194  2 O 1.24-1.29
C 0.8096 0.6683 0.5806  2 O 1.24-1.29
C 0.3591 0.2984 0.3960  2 O 1.24-1.29
C 0.6409 0.7016 0.6040  2 O 1.24-1.29
C 0.2418 0.0143 0.3931  2 O 1.24-1.29
C 0.7582 0.9857 0.6069  2 O 1.24-1.29
C 0.2605 0.9519 0.2813  2 O 1.25-1.29
C 0.7395 0.0481 0.7187  2 O 1.25-1.29
C 0.8471 0.0414 0.1724  2 O 1.24-1.30
C 0.1529 0.9586 0.8276  2 O 1.24-1.30
C 0.9541 0.0961 0.1275  2 O 1.24-1.29
C 0.0459 0.9039 0.8725  2 O 1.24-1.29
O 0.6298 0.5176 0.1971  1 C 1.29
O 0.3702 0.4824 0.8029  1 C 1.29
O 0.8552 0.5045 0.0894  1 C 1.30
O 0.1448 0.4955 0.9106  1 C 1.30
O 0.9565 0.5510 0.2851  1 C 1.29
O 0.0435 0.4490 0.7149  1 C 1.29
O 0.9940 0.3695 0.1464  1 C 1.30
O 0.0060 0.6305 0.8536  1 C 1.30
O 0.7516 0.3784 0.2512  1 C 1.31
O 0.2484 0.6216 0.7488  1 C 1.31
O 0.6802 0.3221 0.0576  1 C 1.30
O 0.3198 0.6779 0.9424  1 C 1.30
O 0.5203 0.6368 0.1617  1 C 1.24
O 0.4797 0.3632 0.8383  1 C 1.24
O 0.7852 0.6392 0.0658  1 C 1.24
O 0.2148 0.3608 0.9342  1 C 1.24
O 0.2201 0.5909 0.3608  1 C 1.25
O 0.7799 0.4091 0.6392  1 C 1.25
O 0.2568 0.3867 0.2163  1 C 1.23
O 0.7432 0.6133 0.7837  1 C 1.23
O 0.6369 0.2232 0.2279  1 C 1.24
O 0.3631 0.7768 0.7721  1 C 1.24
O 0.5609 0.1627 0.0192  1 C 1.24
O 0.4391 0.8373 0.9808  1 C 1.24
O 0.0708 0.2555 0.3790  1 C 1.29
O 0.9292 0.7445 0.6210  1 C 1.29
O 0.3531 0.1999 0.3396  1 C 1.29
O 0.6469 0.8001 0.6604  1 C 1.29
O 0.1772 0.0979 0.4134  1 C 1.29
O 0.8228 0.9021 0.5866  1 C 1.29
O 0.2149 0.9946 0.2257  1 C 1.29
O 0.7851 0.0054 0.7743  1 C 1.29
O 0.9185 0.0528 0.2589  1 C 1.30
O 0.0815 0.9472 0.7411  1 C 1.30
O 0.0969 0.1397 0.1825  1 C 1.29
O 0.9031 0.8603 0.8175  1 C 1.29
O 0.1792 0.4242 0.4750  1 C 1.24
O 0.8208 0.5758 0.5250  1 C 1.24
O 0.4842 0.3646 0.4334  1 C 1.24
O 0.5158 0.6354 0.5666  1 C 1.24
O 0.2850 0.9824 0.4543  1 C 1.24
O 0.7150 0.0176 0.5457  1 C 1.24
O 0.3108 0.8661 0.2492  1 C 1.25
O 0.6892 0.1339 0.7508  1 C 1.25
O 0.7104 0.9908 0.1267  1 C 1.24
O 0.2896 0.0092 0.8733  1 C 1.24
O 0.9027 0.0948 0.0462  1 C 1.24
O 0.0973 0.9052 0.9538  1 C 1.24
O 0.2032 0.6049 0.1581  1 O 2.65, 1 C 2.91
O 0.7968 0.3951 0.8419  1 O 2.65, 1 C 2.91
O 0.8953 0.8396 0.3224  1 O 1.23
O 0.1047 0.1604 0.6776  1 O 1.23
O 0.9172 0.7718 0.3478  1 O 1.23
O 0.0828 0.2282 0.6522  1 O 1.23
O 0.6816 0.7737 0.3847  1 O 1.23
O 0.3184 0.2263 0.6153  1 O 1.23
O 0.6185 0.1427 0.3831  1 O 2.54
O 0.3815 0.8573 0.6169  1 O 2.54
O 0.1573 0.1797 0.0233  2 O 2.53-2.83
O 0.8427 0.8203 0.9767  2 O 2.53-2.83
O 0.6601 0.8438 0.3623  1 O 1.23
O 0.3399 0.1562 0.6377  1 O 1.23

Space group: P-1, No. 2
Formation energy from the elements: -106.4 kJ/mol of atoms
Total moment: 12.00 μB/cell